VASP calculation (GGA-PBE) on an optimized crystal structure of Mn4FeGe3.

The energy of formation is -0.11 eV/atom. The value obtained for the volume is 13.55 A^3/atom.

The structure belongs to space group P-31m (No. 162); the cell edges are 7.1223, 7.1223 and 4.9342 Å and the angles 90.00°, 90.00° and 120.00°. Symmetry generates all atoms from Mn at (0.0000, 0.2463, 0.2460), Mn at (0.3333, 0.6667, 0.0000), Fe at (0.3333, 0.6667, 0.5000) and Ge at (0.0000, 0.3927, 0.7446).